Entry 1:
Crystalline Tm2CoCu at its relaxed geometry, computed with meta-GGA r2SCAN.

Lattice parameters (Å, degrees): 4.7338 4.7338 4.7338 60.00 60.00 60.00
Last column: nearest neighbours and their distance in Å.
Positions (direct):
Tm: 0.2500 0.2500 0.2500  4 Cu 2.90, 4 Co 2.90
Tm: 0.7500 0.7500 0.7500  4 Co 2.90, 4 Cu 2.90
Co: 0.0000 0.0000 0.0000  8 Tm 2.90
Cu: 0.5000 0.5000 0.5000  8 Tm 2.90

Output
ΔE_f   -86 kJ/mol of formula units
Crystal system   cubic
E   -23.80 eV/atom

***

Entry 2:
Crystalline Dy3Co at its relaxed geometry, computed with meta-GGA r2SCAN.

Lattice parameters (Å, degrees): 6.8572 9.4431 6.2169 90.00 90.00 90.00
Last column: nearest neighbours and their distance in Å.
Positions (direct):
Dy: 0.0464 0.2500 0.1415  2 Co 2.61-2.71
Dy: 0.1721 0.0691 0.6796  2 Co 2.72-2.85
Dy: 0.1721 0.4309 0.6796  2 Co 2.72-2.85
Dy: 0.3279 0.5691 0.1796  2 Co 2.72-2.85
Dy: 0.3279 0.9309 0.1796  2 Co 2.72-2.85
Dy: 0.4536 0.7500 0.6415  2 Co 2.61-2.71
Dy: 0.5464 0.2500 0.3585  2 Co 2.61-2.71
Dy: 0.6721 0.0691 0.8204  2 Co 2.72-2.85
Dy: 0.6721 0.4309 0.8204  2 Co 2.72-2.85
Dy: 0.8279 0.5691 0.3204  2 Co 2.72-2.85
Dy: 0.8279 0.9309 0.3204  2 Co 2.72-2.85
Dy: 0.9536 0.7500 0.8585  2 Co 2.61-2.71
Co: 0.1110 0.7500 0.4585  6 Dy 2.61-2.85
Co: 0.3890 0.2500 0.9585  6 Dy 2.61-2.85
Co: 0.6110 0.7500 0.0415  6 Dy 2.61-2.85
Co: 0.8890 0.2500 0.5415  6 Dy 2.61-2.85

Output
ΔE_f   -34 kJ/mol of formula units
Crystal system   orthorhombic
E   -27.38 eV/atom

***

Entry 3:
Crystalline DyCo2 at its relaxed geometry, computed with meta-GGA r2SCAN.

Lattice parameters (Å, degrees): 5.0507 5.0507 5.0507 60.00 60.00 60.00
Last column: nearest neighbours and their distance in Å.
Positions (direct):
Dy: 0.1250 0.1250 0.1250  12 Co 2.96, 4 Dy 3.09
Dy: 0.8750 0.8750 0.8750  12 Co 2.96, 4 Dy 3.09
Co: 0.0000 0.5000 0.5000  6 Co 2.53
Co: 0.5000 0.0000 0.5000  6 Co 2.53
Co: 0.5000 0.5000 0.0000  6 Co 2.53
Co: 0.5000 0.5000 0.5000  6 Co 2.53

Output
ΔE_f   -39 kJ/mol of formula units
Crystal system   cubic
E   -19.62 eV/atom

***

Entry 4:
Crystalline Dy4Co3 at its relaxed geometry, computed with meta-GGA r2SCAN.

Lattice parameters (Å, degrees): 4.0156 11.2634 11.2676 60.28 89.87 89.73
Last column: nearest neighbours and their distance in Å.
Positions (direct):
Dy: 0.2449 0.2822 0.4647  3 Co 2.75-2.87
Dy: 0.2494 0.4641 0.7540  3 Co 2.76-2.87
Dy: 0.2486 0.7534 0.2816  3 Co 2.76-2.87
Dy: 0.2519 0.0154 0.3656  7 Co 2.85-3.06
Dy: 0.2516 0.1189 0.0150  7 Co 2.86-3.04
Dy: 0.2516 0.3663 0.1187  7 Co 2.85-3.04
Dy: 0.7484 0.6337 0.8813  7 Co 2.85-3.04
Dy: 0.7484 0.8811 0.9850  7 Co 2.86-3.04
Dy: 0.7481 0.9846 0.6344  7 Co 2.85-3.06
Dy: 0.7514 0.2466 0.7184  3 Co 2.76-2.87
Dy: 0.7506 0.5359 0.2460  3 Co 2.76-2.87
Dy: 0.7551 0.7178 0.5353  3 Co 2.75-2.87
Co: 0.2501 0.8331 0.8331  3 Co 2.27-2.28
Co: 0.2510 0.0554 0.7823  1 Co 2.28
Co: 0.2512 0.6623 0.0554  1 Co 2.28
Co: 0.2510 0.7814 0.6620  1 Co 2.27
Co: 0.5000 0.5000 0.5000  6 Dy 2.87
Co: 0.7490 0.2186 0.3380  1 Co 2.27
Co: 0.7488 0.3377 0.9446  1 Co 2.28
Co: 0.7490 0.9446 0.2177  1 Co 2.28
Co: 0.7499 0.1669 0.1669  3 Co 2.27-2.28

Output
ΔE_f   -32 kJ/mol of formula units
Crystal system   triclinic
E   -23.99 eV/atom

***

Entry 5:
Crystalline Dy2GaCo2 at its relaxed geometry, computed with meta-GGA r2SCAN.

Lattice parameters (Å, degrees): 5.3364 5.3364 5.3364 134.87 120.10 78.05
Last column: nearest neighbours and their distance in Å.
Positions (direct):
Dy: 0.2060 0.2060 0.0000  6 Co 2.88-2.90, 4 Ga 3.16-3.18
Dy: 0.7940 0.7940 0.0000  6 Co 2.88-2.90, 4 Ga 3.16-3.18
Ga: 0.5000 0.0000 0.5000  4 Co 2.55
Co: 0.2137 0.5000 0.7137  1 Co 2.28
Co: 0.7863 0.5000 0.2863  1 Co 2.28

Output
ΔE_f   -166 kJ/mol of formula units
Crystal system   orthorhombic
E   -20.72 eV/atom

***

Entry 6:
Crystalline Dy2Ga8Co at its relaxed geometry, computed with meta-GGA r2SCAN.

Lattice parameters (Å, degrees): 4.1896 4.1896 11.0286 90.00 90.00 90.00
Last column: nearest neighbours and their distance in Å.
Positions (direct):
Dy: 0.0000 0.0000 0.1946  12 Ga 2.96-3.00
Dy: 0.0000 0.0000 0.8054  12 Ga 2.96-3.00
Ga: 0.0000 0.5000 0.0000  8 Ga 2.96-3.01, 4 Dy 3.00
Ga: 0.0000 0.5000 0.3849  2 Co 2.45, 1 Ga 2.54
Ga: 0.0000 0.5000 0.6151  2 Co 2.45, 1 Ga 2.54
Ga: 0.5000 0.0000 0.0000  8 Ga 2.96-3.01, 4 Dy 3.00
Ga: 0.5000 0.0000 0.3849  2 Co 2.45, 1 Ga 2.54
Ga: 0.5000 0.0000 0.6151  2 Co 2.45, 1 Ga 2.54
Ga: 0.5000 0.5000 0.1955  8 Ga 2.96-3.01, 4 Dy 2.96
Ga: 0.5000 0.5000 0.8045  8 Ga 2.96-3.01, 4 Dy 2.96
Co: 0.0000 0.0000 0.5000  8 Ga 2.45

Output
ΔE_f   -530 kJ/mol of formula units
Crystal system   tetragonal
E   -15.84 eV/atom